# Li2V3FeO8

A relaxed structure of Li2V3FeO8 (PBE+U, the Materials Project database).

Unit cell a=5.905 b=5.905 c=9.611 alpha=90.00 beta=90.00 gamma=119.34
Atoms (fractional coordinates):
Li: 0.334 0.666 0.894
Li: 0.997 0.003 0.995
Li: 0.003 0.997 0.495
Li: 0.666 0.334 0.394
V: 0.165 0.341 0.216
V: 0.659 0.835 0.216
V: 0.171 0.829 0.210
V: 0.829 0.171 0.710
V: 0.341 0.165 0.716
V: 0.835 0.659 0.716
Fe: 0.339 0.661 0.492
Fe: 0.661 0.339 0.992
O: 0.170 0.323 0.604
O: 0.481 0.519 0.337
O: 0.343 0.657 0.100
O: 0.996 0.004 0.310
O: 0.004 0.996 0.810
O: 0.677 0.830 0.604
O: 0.039 0.509 0.337
O: 0.491 0.961 0.337
O: 0.833 0.167 0.103
O: 0.167 0.833 0.603
O: 0.509 0.039 0.837
O: 0.961 0.491 0.837
O: 0.657 0.343 0.600
O: 0.323 0.170 0.104
O: 0.519 0.481 0.837
O: 0.830 0.677 0.104

Calculated values
Mass density ... 3985 kg/m³
Space group ... Cmc2_1 (36)
Energy of formation from the pure elements ... -2335 meV/atom

***

# Li2V3FeO8

A relaxed structure of Li2V3FeO8 (PBE+U, the Materials Project database).

Unit cell a=5.930 b=5.930 c=9.604 alpha=89.46 beta=89.46 gamma=120.29
Atoms (fractional coordinates):
Li: 0.334 0.670 0.106
Li: 0.003 0.000 0.005
Li: 0.000 0.003 0.505
Li: 0.670 0.334 0.606
V: 0.177 0.342 0.783
V: 0.658 0.828 0.790
V: 0.176 0.833 0.784
V: 0.833 0.176 0.284
V: 0.342 0.177 0.283
V: 0.828 0.658 0.290
Fe: 0.328 0.668 0.507
Fe: 0.668 0.328 0.007
O: 0.164 0.331 0.397
O: 0.472 0.511 0.663
O: 0.311 0.654 0.900
O: 0.010 0.005 0.690
O: 0.005 0.010 0.190
O: 0.675 0.845 0.398
O: 0.040 0.521 0.662
O: 0.471 0.961 0.664
O: 0.845 0.168 0.896
O: 0.168 0.845 0.396
O: 0.521 0.040 0.162
O: 0.961 0.471 0.164
O: 0.654 0.311 0.400
O: 0.331 0.164 0.897
O: 0.511 0.472 0.163
O: 0.845 0.675 0.898

Calculated values
Mass density ... 3993 kg/m³
Space group ... Cc (9)
Energy of formation from the pure elements ... -2335 meV/atom

***

# Li5V2Fe3O10

A relaxed structure of Li5V2Fe3O10 (PBE+U, the Materials Project database).

Unit cell a=5.166 b=5.211 c=7.819 alpha=102.26 beta=109.12 gamma=99.62
Atoms (fractional coordinates):
Li: 0.186 0.497 0.407
Li: 0.392 0.493 0.785
Li: 0.000 0.000 0.500
Li: 0.608 0.507 0.215
Li: 0.814 0.503 0.593
V: 0.591 0.986 0.681
V: 0.409 0.014 0.319
Fe: 0.000 0.500 0.000
Fe: 0.199 0.996 0.891
Fe: 0.801 0.004 0.109
O: 0.805 0.773 0.852
O: 0.591 0.220 0.935
O: 0.405 0.236 0.543
O: 0.014 0.764 0.244
O: 0.218 0.769 0.660
O: 0.782 0.231 0.340
O: 0.986 0.236 0.756
O: 0.595 0.764 0.457
O: 0.409 0.780 0.065
O: 0.195 0.227 0.148

Calculated values
Mass density ... 4103 kg/m³
Space group ... P-1 (2)
Energy of formation from the pure elements ... -2146 meV/atom

***

# Li2V3FeO8

A relaxed structure of Li2V3FeO8 (PBE+U, the Materials Project database).

Unit cell a=8.423 b=8.423 c=8.515 alpha=90.00 beta=90.00 gamma=90.00
Atoms (fractional coordinates):
Li: 0.752 0.506 0.002
Li: 0.997 0.749 0.247
Li: 0.506 0.248 0.252
Li: 0.749 0.003 0.497
Li: 0.248 0.494 0.502
Li: 0.003 0.251 0.747
Li: 0.494 0.752 0.752
Li: 0.251 0.997 0.997
V: 0.878 0.130 0.123
V: 0.131 0.374 0.127
V: 0.376 0.624 0.126
V: 0.130 0.122 0.373
V: 0.374 0.869 0.377
V: 0.624 0.624 0.376
V: 0.122 0.870 0.623
V: 0.869 0.626 0.627
V: 0.624 0.376 0.626
V: 0.870 0.878 0.873
V: 0.626 0.131 0.877
V: 0.376 0.376 0.876
Fe: 0.628 0.875 0.128
Fe: 0.875 0.372 0.378
Fe: 0.372 0.125 0.628
Fe: 0.125 0.628 0.878
O: 0.871 0.899 0.109
O: 0.641 0.113 0.112
O: 0.378 0.396 0.113
O: 0.882 0.352 0.135
O: 0.140 0.612 0.115
O: 0.116 0.135 0.139
O: 0.382 0.850 0.135
O: 0.615 0.636 0.142
O: 0.899 0.129 0.359
O: 0.113 0.359 0.362
O: 0.396 0.622 0.363
O: 0.352 0.118 0.385
O: 0.612 0.860 0.365
O: 0.135 0.884 0.389
O: 0.850 0.618 0.385
O: 0.636 0.385 0.392
O: 0.129 0.101 0.609
O: 0.359 0.887 0.612
O: 0.622 0.604 0.613
O: 0.118 0.648 0.635
O: 0.860 0.388 0.615
O: 0.884 0.865 0.639
O: 0.618 0.150 0.635
O: 0.385 0.364 0.642
O: 0.101 0.871 0.859
O: 0.887 0.641 0.862
O: 0.604 0.378 0.863
O: 0.648 0.882 0.885
O: 0.388 0.140 0.865
O: 0.865 0.116 0.889
O: 0.150 0.382 0.885
O: 0.364 0.615 0.892

Calculated values
Mass density ... 3854 kg/m³
Space group ... P4_3 (78)
Energy of formation from the pure elements ... -2346 meV/atom

***

# LiV2FeO6

A relaxed structure of LiV2FeO6 (PBE+U, the Materials Project database).

Unit cell a=6.937 b=6.937 c=5.750 alpha=72.00 beta=108.00 gamma=103.13
Atoms (fractional coordinates):
Li: 0.280 0.280 0.250
Li: 0.720 0.720 0.750
V: 0.185 0.621 0.750
V: 0.379 0.815 0.250
V: 0.621 0.185 0.750
V: 0.815 0.379 0.250
Fe: 0.084 0.084 0.750
Fe: 0.916 0.916 0.250
O: 0.006 0.808 0.650
O: 0.086 0.363 0.753
O: 0.192 0.994 0.150
O: 0.396 0.699 0.590
O: 0.363 0.086 0.747
O: 0.301 0.604 0.090
O: 0.699 0.396 0.910
O: 0.637 0.914 0.253
O: 0.604 0.301 0.410
O: 0.808 0.006 0.850
O: 0.914 0.637 0.247
O: 0.994 0.192 0.350

Calculated values
Mass density ... 3496 kg/m³
Space group ... C2/c (15)
Energy of formation from the pure elements ... -2193 meV/atom

***

# Li2VFeO4

A relaxed structure of Li2VFeO4 (PBE+U, the Materials Project database).

Unit cell a=5.184 b=6.020 c=7.895 alpha=101.22 beta=108.74 gamma=90.13
Atoms (fractional coordinates):
Li: 0.998 0.080 0.833
Li: 0.999 0.248 0.498
Li: 0.001 0.587 0.833
Li: 0.002 0.920 0.167
Li: 0.999 0.413 0.167
Li: 0.001 0.752 0.502
V: 0.499 0.335 0.833
V: 0.501 0.665 0.167
V: 0.500 0.500 0.500
Fe: 0.501 0.836 0.833
Fe: 0.499 0.164 0.167
Fe: 0.500 0.000 0.500
O: 0.726 0.622 0.993
O: 0.729 0.122 0.997
O: 0.726 0.452 0.330
O: 0.727 0.953 0.327
O: 0.724 0.294 0.660
O: 0.731 0.800 0.664
O: 0.271 0.878 0.003
O: 0.274 0.378 0.007
O: 0.269 0.200 0.336
O: 0.276 0.706 0.340
O: 0.273 0.047 0.673
O: 0.274 0.548 0.670

Calculated values
Mass density ... 4029 kg/m³
Space group ... P-1 (2)
Energy of formation from the pure elements ... -2201 meV/atom

***

# Li3V3Fe2O12

A relaxed structure of Li3V3Fe2O12 (PBE+U, the Materials Project database).

Unit cell a=9.233 b=8.859 c=15.150 alpha=55.51 beta=90.00 gamma=90.00
Atoms (fractional coordinates):
Li: 0.910 0.373 0.698
Li: 0.493 0.719 0.344
Li: 0.224 0.001 0.180
Li: 0.724 0.999 0.320
Li: 0.410 0.627 0.802
Li: 0.993 0.281 0.156
Li: 0.007 0.719 0.844
Li: 0.590 0.373 0.198
Li: 0.276 0.001 0.680
Li: 0.776 0.999 0.820
Li: 0.507 0.281 0.656
Li: 0.090 0.627 0.302
V: 0.753 0.547 0.491
V: 0.620 0.265 0.851
V: 0.884 0.970 0.143
V: 0.120 0.735 0.649
V: 0.384 0.030 0.357
V: 0.253 0.453 0.009
V: 0.747 0.547 0.991
V: 0.616 0.970 0.643
V: 0.880 0.265 0.351
V: 0.116 0.030 0.857
V: 0.380 0.735 0.149
V: 0.247 0.453 0.509
Fe: 0.978 0.355 0.892
Fe: 0.478 0.645 0.608
Fe: 0.031 0.871 0.383
Fe: 0.531 0.129 0.117
Fe: 0.469 0.871 0.883
Fe: 0.969 0.129 0.617
Fe: 0.522 0.355 0.392
Fe: 0.022 0.645 0.108
O: 0.117 0.622 0.439
O: 0.112 0.163 0.907
O: 0.340 0.458 0.607
O: 0.424 0.880 0.193
O: 0.632 0.505 0.592
O: 0.809 0.286 0.837
O: 0.580 0.156 0.984
O: 0.014 0.878 0.246
O: 0.715 0.984 0.191
O: 0.828 0.766 0.430
O: 0.526 0.471 0.773
O: 0.026 0.529 0.727
O: 0.946 0.195 0.052
O: 0.446 0.805 0.448
O: 0.328 0.234 0.070
O: 0.215 0.016 0.309
O: 0.080 0.844 0.516
O: 0.514 0.122 0.254
O: 0.309 0.714 0.663
O: 0.132 0.495 0.908
O: 0.840 0.542 0.893
O: 0.612 0.837 0.593
O: 0.924 0.120 0.307
O: 0.617 0.378 0.061
O: 0.383 0.622 0.939
O: 0.076 0.880 0.693
O: 0.388 0.163 0.407
O: 0.160 0.458 0.107
O: 0.868 0.505 0.092
O: 0.691 0.286 0.337
O: 0.486 0.878 0.746
O: 0.920 0.156 0.484
O: 0.785 0.984 0.691
O: 0.672 0.766 0.930
O: 0.554 0.195 0.552
O: 0.054 0.805 0.948
O: 0.974 0.471 0.273
O: 0.474 0.529 0.227
O: 0.172 0.234 0.570
O: 0.285 0.016 0.809
O: 0.986 0.122 0.754
O: 0.420 0.844 0.016
O: 0.191 0.714 0.163
O: 0.368 0.495 0.408
O: 0.576 0.120 0.807
O: 0.660 0.542 0.393
O: 0.888 0.837 0.093
O: 0.883 0.378 0.561

Calculated values
Mass density ... 3104 kg/m³
Space group ... P2_1/c (14)
Energy of formation from the pure elements ... -2239 meV/atom

***

# Li2V2FeO6

A relaxed structure of Li2V2FeO6 (PBE+U, the Materials Project database).

Unit cell a=5.136 b=5.136 c=10.122 alpha=87.73 beta=87.73 gamma=57.99
Atoms (fractional coordinates):
Li: 0.193 0.474 0.751
Li: 0.474 0.193 0.251
Li: 0.526 0.807 0.749
Li: 0.807 0.526 0.249
V: 0.157 0.684 0.010
V: 0.684 0.157 0.510
V: 0.316 0.843 0.490
V: 0.843 0.316 0.990
Fe: 0.500 0.000 0.000
Fe: 0.000 0.500 0.500
O: 0.991 0.816 0.608
O: 0.346 0.486 0.401
O: 0.184 0.009 0.892
O: 0.486 0.346 0.901
O: 0.514 0.654 0.099
O: 0.159 0.330 0.106
O: 0.816 0.991 0.108
O: 0.654 0.514 0.599
O: 0.330 0.159 0.606
O: 0.009 0.184 0.392
O: 0.670 0.841 0.394
O: 0.841 0.670 0.894

Calculated values
Mass density ... 3930 kg/m³
Space group ... C2/c (15)
Energy of formation from the pure elements ... -2216 meV/atom

***

# Li4VFe3O8

A relaxed structure of Li4VFe3O8 (PBE+U, the Materials Project database).

Unit cell a=5.082 b=5.678 c=6.565 alpha=90.79 beta=90.34 gamma=90.00
Atoms (fractional coordinates):
Li: 0.988 0.088 0.621
Li: 0.499 0.421 0.128
Li: 0.992 0.576 0.876
Li: 0.496 0.909 0.373
V: 0.487 0.909 0.870
Fe: 0.990 0.085 0.130
Fe: 0.493 0.418 0.621
Fe: 0.005 0.584 0.374
O: 0.372 0.072 0.106
O: 0.392 0.072 0.650
O: 0.890 0.407 0.132
O: 0.900 0.430 0.611
O: 0.378 0.582 0.372
O: 0.396 0.604 0.885
O: 0.890 0.913 0.363
O: 0.859 0.927 0.886

Calculated values
Mass density ... 3281 kg/m³
Space group ... P1 (1)
Energy of formation from the pure elements ... -2025 meV/atom

***

# Li3VFe3O8

A relaxed structure of Li3VFe3O8 (PBE+U, the Materials Project database).

Unit cell a=5.917 b=5.961 c=5.992 alpha=119.61 beta=90.36 gamma=119.48
Atoms (fractional coordinates):
Li: 0.500 0.500 0.500
Li: 0.000 0.500 0.500
Li: 0.500 0.000 0.500
V: 0.000 0.000 0.000
Fe: 0.500 0.000 0.000
Fe: 0.000 0.500 0.000
Fe: 0.500 0.500 0.000
O: 0.694 0.456 0.780
O: 0.199 0.444 0.785
O: 0.692 0.961 0.785
O: 0.217 0.979 0.771
O: 0.783 0.021 0.229
O: 0.308 0.039 0.215
O: 0.801 0.556 0.215
O: 0.306 0.544 0.220

Calculated values
Mass density ... 4038 kg/m³
Space group ... P-1 (2)
Energy of formation from the pure elements ... -1658 meV/atom

***

# Li2V3FeO8

A relaxed structure of Li2V3FeO8 (PBE+U, the Materials Project database).

Unit cell a=8.403 b=8.419 c=8.451 alpha=90.24 beta=90.00 gamma=90.00
Atoms (fractional coordinates):
Li: 0.124 0.875 0.374
Li: 0.252 0.749 0.750
Li: 0.249 0.250 0.249
Li: 0.375 0.128 0.874
Li: 0.625 0.625 0.626
Li: 0.752 0.751 0.250
Li: 0.749 0.250 0.751
Li: 0.875 0.372 0.126
V: 0.114 0.621 0.124
V: 0.114 0.375 0.882
V: 0.125 0.114 0.620
V: 0.376 0.876 0.128
V: 0.372 0.622 0.375
V: 0.381 0.385 0.625
V: 0.614 0.879 0.876
V: 0.613 0.125 0.118
V: 0.624 0.386 0.380
V: 0.877 0.624 0.872
V: 0.872 0.878 0.625
V: 0.880 0.115 0.375
Fe: 0.000 0.497 0.500
Fe: 0.501 0.498 0.997
Fe: 0.499 0.003 0.500
Fe: 0.000 0.002 0.002
O: 0.105 0.135 0.394
O: 0.117 0.902 0.630
O: 0.119 0.613 0.888
O: 0.134 0.393 0.104
O: 0.122 0.140 0.867
O: 0.133 0.363 0.635
O: 0.129 0.621 0.361
O: 0.139 0.866 0.121
O: 0.360 0.140 0.620
O: 0.363 0.378 0.858
O: 0.363 0.629 0.130
O: 0.379 0.860 0.367
O: 0.370 0.600 0.612
O: 0.388 0.383 0.387
O: 0.399 0.115 0.129
O: 0.400 0.871 0.887
O: 0.605 0.365 0.606
O: 0.617 0.598 0.370
O: 0.618 0.887 0.112
O: 0.634 0.107 0.896
O: 0.622 0.360 0.133
O: 0.633 0.137 0.365
O: 0.630 0.879 0.639
O: 0.639 0.634 0.878
O: 0.860 0.360 0.380
O: 0.862 0.122 0.142
O: 0.863 0.871 0.870
O: 0.880 0.640 0.634
O: 0.870 0.900 0.388
O: 0.888 0.117 0.613
O: 0.899 0.385 0.871
O: 0.901 0.629 0.113

Calculated values
Mass density ... 3894 kg/m³
Space group ... P1 (1)
Energy of formation from the pure elements ... -2340 meV/atom